VASP calculation (PBE with a Hubbard U) on a geometry-optimized Sr2VP3O12 structure.

The structure in CIF format:
```
data_Sr2VP3O12
_cell_length_a 10.951
_cell_length_b 12.309
_cell_length_c 9.118
_cell_angle_alpha 90.00
_cell_angle_beta 126.65
_cell_angle_gamma 90.00
_symmetry_space_group_name_H-M 'C 1 2/c 1'
_symmetry_Int_Tables_number 15
loop_
_symmetry_equiv_pos_as_xyz
'x,y,z'
'-x,-y,-z'
'-x,y,-z+1/2'
'x,-y,z+1/2'
'x+1/2,y+1/2,z'
'-x+1/2,-y+1/2,-z'
'-x+1/2,y+1/2,-z+1/2'
'x+1/2,-y+1/2,z+1/2'
loop_
_atom_site_label
_atom_site_type_symbol
_atom_site_fract_x
_atom_site_fract_y
_atom_site_fract_z
Sr1 Sr 0.149 0.206 0.188
V1 V 0.000 0.500 0.000
P1 P 0.000 0.296 0.750
P2 P 0.240 0.058 0.558
O1 O 0.023 0.376 0.903
O2 O 0.121 0.422 0.231
O3 O 0.141 0.233 0.817
O4 O 0.142 0.162 0.483
O5 O 0.161 0.046 0.039
O6 O 0.181 0.441 0.544
```

Properties
For the mass density, the calculation gives 3.4 g/cm³. The formation energy comes out at -2.867 eV per atom.

VASP calculation (PBE with a Hubbard U) on a geometry-optimized MgFe4O8 structure.

The structure in CIF format:
```
data_MgFe4O8
_cell_length_a 5.8679
_cell_length_b 5.8679
_cell_length_c 14.8189
_cell_angle_alpha 90.00
_cell_angle_beta 90.00
_cell_angle_gamma 120.00
_symmetry_space_group_name_H-M 'R -3 m'
_symmetry_Int_Tables_number 166
_symmetry_space_group_name_Hall '-R 3 2"'
loop_
_atom_site_label
_atom_site_type_symbol
_atom_site_fract_x
_atom_site_fract_y
_atom_site_fract_z
Mg1 Mg 0.0000 0.0000 0.0000
Fe1 Fe 0.0000 0.0000 0.5000
Fe2 Fe 0.0000 0.5000 0.5000
O1 O 0.0000 0.0000 0.2336
O2 O 0.0165 0.5082 0.7632
```

Properties
For the mass density, the calculation gives 4.2 g/cm³. As for the energy above the most stable polymorph in this dataset: 0.464 eV/f.u. The formation energy comes out at -1.604 eV per atom.

VASP calculation (PBE with a Hubbard U) on a geometry-optimized Ba2MgNi2O6 structure.

The structure in CIF format:
```
data_Ba2MgNi2O6
_cell_length_a 5.7033
_cell_length_b 5.7033
_cell_length_c 5.5742
_cell_angle_alpha 90.00
_cell_angle_beta 90.00
_cell_angle_gamma 120.00
_symmetry_space_group_name_H-M 'P 3 m 1'
_symmetry_Int_Tables_number 156
loop_
_symmetry_equiv_pos_as_xyz
'x,y,z'
'-y,x-y,z'
'-x+y,-x,z'
'-y,-x,z'
'-x+y,y,z'
'x,x-y,z'
loop_
_atom_site_label
_atom_site_type_symbol
_atom_site_fract_x
_atom_site_fract_y
_atom_site_fract_z
Ba1 Ba 0.0000 0.0000 0.0000
Ba2 Ba 0.3333 0.6667 0.5197
Mg1 Mg 0.3333 0.6667 0.0231
Ni1 Ni 0.6667 0.3333 0.1473
Ni2 Ni 0.6667 0.3333 0.6403
O1 O 0.3695 0.1847 0.3621
O2 O 0.5120 0.0240 0.9048
```

Properties
For the mass density, the calculation gives 5.4 g/cm³. As for the energy above the most stable polymorph in this dataset: 2.054 eV/f.u. The formation energy comes out at -1.763 eV per atom.

VASP calculation (PBE with a Hubbard U) on a geometry-optimized Sr2Fe3O6 structure.

The structure in CIF format:
```
data_Sr2Fe3O6
_cell_length_a 5.642
_cell_length_b 5.642
_cell_length_c 19.433
_cell_angle_alpha 90.00
_cell_angle_beta 90.00
_cell_angle_gamma 90.00
_symmetry_space_group_name_H-M 'P 42/m n m'
_symmetry_Int_Tables_number 136
_symmetry_space_group_name_Hall '-P 4n 2n'
loop_
_atom_site_label
_atom_site_type_symbol
_atom_site_fract_x
_atom_site_fract_y
_atom_site_fract_z
Sr1 Sr 0.238 0.238 0.088
Fe1 Fe 0.176 0.176 0.295
Fe2 Fe 0.246 0.246 0.500
O1 O 0.000 0.000 0.000
O2 O 0.000 0.000 0.500
O3 O 0.000 0.500 0.000
O4 O 0.181 0.819 0.286
O5 O 0.244 0.756 0.113
```

Properties
For the mass density, the calculation gives 4.7 g/cm³. The formation energy comes out at -2.174 eV per atom.

VASP calculation (PBE with a Hubbard U) on a geometry-optimized Li9Mn2Co5O16 structure.

The structure in CIF format:
```
data_Li9Mn2Co5O16
_cell_length_a 5.213
_cell_length_b 2.888
_cell_length_c 19.452
_cell_angle_alpha 90.00
_cell_angle_beta 96.15
_cell_angle_gamma 90.00
_symmetry_space_group_name_H-M 'P 1 2/m 1'
_symmetry_Int_Tables_number 10
loop_
_symmetry_equiv_pos_as_xyz
'x,y,z'
'-x,-y,-z'
'-x,y,-z'
'x,-y,z'
loop_
_atom_site_label
_atom_site_type_symbol
_atom_site_fract_x
_atom_site_fract_y
_atom_site_fract_z
Li1 Li 0.000 0.000 0.000
Li2 Li 0.000 0.500 0.500
Li3 Li 0.127 0.000 0.378
Li4 Li 0.245 0.500 0.247
Li5 Li 0.387 0.000 0.118
Li6 Li 0.500 0.500 0.000
Mn1 Mn 0.253 0.000 0.750
Co1 Co 0.099 0.500 0.884
Co2 Co 0.373 0.500 0.621
Co3 Co 0.500 0.000 0.500
O1 O 0.016 0.000 0.189
O2 O 0.082 0.500 0.694
O3 O 0.177 0.500 0.069
O4 O 0.189 0.000 0.567
O5 O 0.298 0.000 0.931
O6 O 0.335 0.500 0.437
O7 O 0.424 0.500 0.803
O8 O 0.472 0.000 0.313
```

Properties
For the mass density, the calculation gives 4.1 g/cm³. As for the energy above the most stable polymorph in this dataset: 8.212 eV/f.u. The formation energy comes out at -1.608 eV per atom.

VASP calculation (PBE with a Hubbard U) on a geometry-optimized MgMn3Cu2O8 structure.

The structure in CIF format:
```
data_MgMn3Cu2O8
_cell_length_a 8.455
_cell_length_b 8.455
_cell_length_c 8.455
_cell_angle_alpha 90.00
_cell_angle_beta 90.00
_cell_angle_gamma 90.00
_symmetry_space_group_name_H-M 'P 43 3 2'
_symmetry_Int_Tables_number 212
_symmetry_space_group_name_Hall 'P 4acd 2ab 3'
loop_
_atom_site_label
_atom_site_type_symbol
_atom_site_fract_x
_atom_site_fract_y
_atom_site_fract_z
Mg1 Mg 0.125 0.125 0.125
Mn1 Mn 0.121 0.871 0.875
Cu1 Cu 0.007 0.993 0.493
O1 O 0.103 0.878 0.110
O2 O 0.117 0.383 0.617
```

Properties
For the mass density, the calculation gives 4.9 g/cm³. As for the energy above the most stable polymorph in this dataset: 0.000 eV/f.u. The formation energy comes out at -1.828 eV per atom.

Question: Which of these has the highest mass density?
Answer: Ba2MgNi2O6

Question: Which formula does entry 1 have?
Answer: Sr2VP3O12

Question: Among the records above, which one has the lowest mass density?
Answer: Sr2VP3O12